A relaxed Li7Ge2 crystal. Source: Materials Project, functional meta-GGA r2SCAN.

Cell: 7.968 7.968 4.458 Å, 90.00 90.00 110.23°
Fractional positions:
Li: 0.000 0.000 0.000
Li: 0.024 0.345 0.000
Li: 0.173 0.827 0.500
Li: 0.184 0.501 0.500
Li: 0.340 0.340 0.000
Li: 0.345 0.024 0.000
Li: 0.499 0.816 0.500
Li: 0.500 0.500 0.500
Li: 0.501 0.184 0.500
Li: 0.655 0.976 0.000
Li: 0.660 0.660 0.000
Li: 0.816 0.499 0.500
Li: 0.827 0.173 0.500
Li: 0.976 0.655 0.000
Ge: 0.154 0.154 0.500
Ge: 0.320 0.680 0.000
Ge: 0.680 0.320 0.000
Ge: 0.846 0.846 0.500


A relaxed GaPt3 crystal. Source: Materials Project, functional meta-GGA r2SCAN.

Cell: 3.910 3.910 3.910 Å, 90.00 90.00 90.00°
Fractional positions:
Ga: 0.000 0.000 0.000
Pt: 0.000 0.500 0.500
Pt: 0.500 0.000 0.500
Pt: 0.500 0.500 0.000


A relaxed Rb2TeBr6 crystal. Source: Materials Project, functional meta-GGA r2SCAN.

Cell: 7.704 7.704 7.704 Å, 120.51 120.51 89.12°
Fractional positions:
Rb: 0.250 0.750 0.500
Rb: 0.750 0.250 0.500
Te: 0.000 0.000 0.000
Br: 0.226 0.273 0.500
Br: 0.248 0.248 0.000
Br: 0.273 0.774 0.047
Br: 0.727 0.226 0.953
Br: 0.752 0.752 0.000
Br: 0.774 0.727 0.500


A relaxed RbAuS crystal. Source: Materials Project, functional meta-GGA r2SCAN.

Cell: 5.262 5.262 6.711 Å, 90.00 90.00 101.74°
Fractional positions:
Rb: 0.124 0.876 0.750
Rb: 0.876 0.124 0.250
Au: 0.500 0.500 0.000
Au: 0.500 0.500 0.500
S: 0.304 0.696 0.250
S: 0.696 0.304 0.750


A relaxed PrAs2Pd3 crystal. Source: Materials Project, functional meta-GGA r2SCAN.

Cell: 8.614 8.614 10.074 Å, 107.34 107.34 27.78°
Fractional positions:
Pr: 0.000 0.000 0.000
Pr: 0.154 0.154 0.701
Pr: 0.846 0.846 0.299
As: 0.200 0.200 0.129
As: 0.364 0.364 0.547
As: 0.463 0.463 0.216
As: 0.537 0.537 0.784
As: 0.636 0.636 0.453
As: 0.800 0.800 0.871
Pd: 0.044 0.044 0.334
Pd: 0.222 0.222 0.391
Pd: 0.323 0.323 0.034
Pd: 0.374 0.374 0.797
Pd: 0.500 0.500 0.500
Pd: 0.626 0.626 0.203
Pd: 0.677 0.677 0.966
Pd: 0.778 0.778 0.609
Pd: 0.956 0.956 0.666


A relaxed LiHfPd2 crystal. Source: Materials Project, functional meta-GGA r2SCAN.

Cell: 4.482 4.482 4.482 Å, 60.00 60.00 60.00°
Fractional positions:
Li: 0.000 0.000 0.000
Hf: 0.500 0.500 0.500
Pd: 0.250 0.250 0.250
Pd: 0.750 0.750 0.750


A relaxed LuZnSn crystal. Source: Materials Project, functional meta-GGA r2SCAN.

Cell: 4.400 4.400 15.752 Å, 90.00 90.00 120.00°
Fractional positions:
Lu: 0.000 0.000 0.000
Lu: 0.000 0.000 0.250
Lu: 0.000 0.000 0.500
Lu: 0.000 0.000 0.750
Zn: 0.333 0.667 0.164
Zn: 0.333 0.667 0.336
Zn: 0.667 0.333 0.664
Zn: 0.667 0.333 0.836
Sn: 0.333 0.667 0.612
Sn: 0.333 0.667 0.888
Sn: 0.667 0.333 0.112
Sn: 0.667 0.333 0.388


A relaxed Hf10MnSb5 crystal. Source: Materials Project, functional meta-GGA r2SCAN.

Cell: 8.254 8.254 8.254 Å, 96.50 96.50 140.69°
Fractional positions:
Hf: 0.000 0.500 0.500
Hf: 0.023 0.164 0.706
Hf: 0.164 0.458 0.142
Hf: 0.317 0.023 0.858
Hf: 0.458 0.317 0.294
Hf: 0.500 0.000 0.500
Hf: 0.542 0.836 0.858
Hf: 0.683 0.542 0.706
Hf: 0.836 0.977 0.294
Hf: 0.977 0.683 0.142
Mn: 0.000 0.000 0.000
Sb: 0.086 0.914 0.500
Sb: 0.414 0.586 0.500
Sb: 0.500 0.500 0.000
Sb: 0.586 0.086 0.172
Sb: 0.914 0.414 0.828


A relaxed K3InP2O8 crystal. Source: Materials Project, functional meta-GGA r2SCAN.

Cell: 9.656 9.686 9.766 Å, 89.51 88.94 70.93°
Fractional positions:
K: 0.000 0.000 0.000
K: 0.003 0.482 0.549
K: 0.113 0.527 0.870
K: 0.251 0.741 0.528
K: 0.266 0.218 0.073
K: 0.362 0.801 0.159
K: 0.408 0.429 0.353
K: 0.506 0.497 0.994
K: 0.518 0.003 0.444
K: 0.581 0.609 0.660
K: 0.751 0.765 0.963
K: 0.784 0.224 0.507
In: 0.158 0.106 0.675
In: 0.626 0.135 0.835
In: 0.869 0.381 0.176
In: 0.905 0.851 0.338
P: 0.091 0.606 0.190
P: 0.122 0.074 0.332
P: 0.386 0.322 0.689
P: 0.396 0.920 0.825
P: 0.656 0.160 0.180
P: 0.681 0.627 0.323
P: 0.849 0.355 0.833
P: 0.931 0.884 0.678
O: 0.023 0.177 0.225
O: 0.041 0.475 0.150
O: 0.066 0.935 0.690
O: 0.081 0.148 0.473
O: 0.084 0.628 0.348
O: 0.091 0.926 0.327
O: 0.245 0.577 0.131
O: 0.248 0.028 0.881
O: 0.249 0.281 0.654
O: 0.282 0.043 0.296
O: 0.366 0.474 0.633
O: 0.376 0.926 0.666
O: 0.405 0.313 0.848
O: 0.430 0.766 0.881
O: 0.497 0.187 0.213
O: 0.521 0.976 0.865
O: 0.526 0.655 0.380
O: 0.528 0.207 0.631
O: 0.682 0.309 0.191
O: 0.689 0.602 0.165
O: 0.703 0.094 0.037
O: 0.704 0.321 0.816
O: 0.733 0.756 0.360
O: 0.754 0.055 0.286
O: 0.790 0.482 0.381
O: 0.818 0.518 0.816
O: 0.821 0.963 0.792
O: 0.856 0.932 0.539
O: 0.918 0.301 0.973
O: 0.957 0.271 0.721
O: 0.980 0.750 0.133
O: 0.981 0.720 0.695


A relaxed Nd5Sn15Rh8 crystal. Source: Materials Project, functional meta-GGA r2SCAN.

Cell: 7.302 4.472 18.675 Å, 90.00 90.17 90.00°
Fractional positions:
Nd: 0.000 0.000 0.000
Nd: 0.001 0.500 0.717
Nd: 0.500 0.500 0.215
Nd: 0.505 0.000 0.500
Nd: 0.997 0.000 0.427
Sn: 0.017 0.500 0.290
Sn: 0.133 0.500 0.890
Sn: 0.198 0.000 0.172
Sn: 0.221 0.500 0.553
Sn: 0.281 0.500 0.053
Sn: 0.307 0.000 0.679
Sn: 0.357 0.500 0.387
Sn: 0.479 0.500 0.790
Sn: 0.525 0.000 0.924
Sn: 0.633 0.000 0.326
Sn: 0.700 0.500 0.039
Sn: 0.720 0.000 0.663
Sn: 0.777 0.000 0.162
Sn: 0.806 0.500 0.539
Sn: 0.870 0.000 0.827
Rh: 0.022 0.000 0.584
Rh: 0.254 0.000 0.825
Rh: 0.265 0.000 0.312
Rh: 0.488 0.000 0.067
Rh: 0.518 0.500 0.643
Rh: 0.732 0.500 0.392
Rh: 0.749 0.500 0.892
Rh: 0.985 0.500 0.143


A relaxed TmBrO crystal. Source: Materials Project, functional meta-GGA r2SCAN.

Cell: 3.765 3.765 8.517 Å, 90.00 90.00 90.00°
Fractional positions:
Tm: 0.250 0.250 0.129
Tm: 0.750 0.750 0.871
Br: 0.250 0.250 0.676
Br: 0.750 0.750 0.324
O: 0.250 0.750 0.000
O: 0.750 0.250 0.000


A relaxed Li2In crystal. Source: Materials Project, functional meta-GGA r2SCAN.

Cell: 5.550 5.550 4.680 Å, 90.00 90.00 129.98°
Fractional positions:
Li: 0.089 0.911 0.750
Li: 0.257 0.743 0.250
Li: 0.743 0.257 0.750
Li: 0.911 0.089 0.250
In: 0.413 0.587 0.750
In: 0.587 0.413 0.250


A relaxed Cs2IrCl6 crystal. Source: Materials Project, functional meta-GGA r2SCAN.

Cell: 7.281 7.281 7.281 Å, 60.00 60.00 60.00°
Fractional positions:
Cs: 0.250 0.250 0.250
Cs: 0.750 0.750 0.750
Ir: 0.000 0.000 0.000
Cl: 0.227 0.227 0.773
Cl: 0.227 0.773 0.227
Cl: 0.227 0.773 0.773
Cl: 0.773 0.227 0.227
Cl: 0.773 0.227 0.773
Cl: 0.773 0.773 0.227


A relaxed Rb3ZnBr5 crystal. Source: Materials Project, functional meta-GGA r2SCAN.

Cell: 9.093 10.533 13.476 Å, 90.00 90.00 90.00°
Fractional positions:
Rb: 0.087 0.250 0.046
Rb: 0.088 0.020 0.329
Rb: 0.088 0.480 0.329
Rb: 0.412 0.520 0.829
Rb: 0.412 0.980 0.829
Rb: 0.413 0.750 0.546
Rb: 0.587 0.250 0.454
Rb: 0.588 0.020 0.171
Rb: 0.588 0.480 0.171
Rb: 0.912 0.520 0.671
Rb: 0.912 0.980 0.671
Rb: 0.913 0.750 0.954
Zn: 0.191 0.250 0.608
Zn: 0.309 0.750 0.108
Zn: 0.691 0.250 0.892
Zn: 0.809 0.750 0.392
Br: 0.036 0.750 0.487
Br: 0.135 0.250 0.783
Br: 0.161 0.750 0.765
Br: 0.185 0.557 0.064
Br: 0.185 0.943 0.064
Br: 0.315 0.057 0.564
Br: 0.315 0.443 0.564
Br: 0.339 0.250 0.265
Br: 0.365 0.750 0.283
Br: 0.464 0.250 0.987
Br: 0.536 0.750 0.013
Br: 0.635 0.250 0.717
Br: 0.661 0.750 0.735
Br: 0.685 0.557 0.436
Br: 0.685 0.943 0.436
Br: 0.815 0.057 0.936
Br: 0.815 0.443 0.936
Br: 0.839 0.250 0.235
Br: 0.865 0.750 0.217
Br: 0.964 0.250 0.513


A relaxed GdErO3 crystal. Source: Materials Project, functional meta-GGA r2SCAN.

Cell: 9.201 9.201 10.624 Å, 125.24 125.24 70.55°
Fractional positions:
Gd: 0.000 0.000 0.000
Gd: 0.219 0.778 0.748
Gd: 0.222 0.781 0.252
Gd: 0.250 0.311 0.031
Gd: 0.502 0.498 0.000
Gd: 0.689 0.750 0.969
Gd: 0.716 0.278 0.744
Gd: 0.722 0.284 0.256
Er: 0.189 0.249 0.469
Er: 0.437 0.563 0.500
Er: 0.468 0.029 0.715
Er: 0.471 0.032 0.221
Er: 0.751 0.811 0.531
Er: 0.939 0.061 0.500
Er: 0.968 0.529 0.779
Er: 0.971 0.532 0.285
O: 0.178 0.542 0.244
O: 0.189 0.012 0.494
O: 0.211 0.049 0.981
O: 0.234 0.505 0.519
O: 0.244 0.550 0.003
O: 0.267 0.027 0.269
O: 0.445 0.289 0.715
O: 0.450 0.756 0.997
O: 0.458 0.822 0.756
O: 0.482 0.232 0.976
O: 0.490 0.310 0.297
O: 0.495 0.766 0.481
O: 0.678 0.033 0.474
O: 0.690 0.510 0.703
O: 0.711 0.555 0.285
O: 0.734 0.012 0.226
O: 0.744 0.048 0.786
O: 0.768 0.518 0.024
O: 0.951 0.789 0.019
O: 0.952 0.256 0.214
O: 0.967 0.322 0.526
O: 0.973 0.733 0.731
O: 0.988 0.266 0.774
O: 0.988 0.811 0.506


A relaxed Nb3TeI7 crystal. Source: Materials Project, functional meta-GGA r2SCAN.

Cell: 7.732 7.732 14.429 Å, 90.00 90.00 120.00°
Fractional positions:
Nb: 0.132 0.264 0.000
Nb: 0.132 0.868 0.000
Nb: 0.264 0.132 0.500
Nb: 0.736 0.868 0.000
Nb: 0.868 0.132 0.500
Nb: 0.868 0.736 0.500
Te: 0.000 0.000 0.356
Te: 0.000 0.000 0.856
I: 0.002 0.501 0.392
I: 0.168 0.337 0.628
I: 0.168 0.832 0.628
I: 0.333 0.667 0.103
I: 0.337 0.168 0.128
I: 0.499 0.501 0.392
I: 0.499 0.998 0.392
I: 0.501 0.002 0.892
I: 0.501 0.499 0.892
I: 0.663 0.832 0.628
I: 0.667 0.333 0.603
I: 0.832 0.168 0.128
I: 0.832 0.663 0.128
I: 0.998 0.499 0.892


Mass density list, top to bottom, in Mg/m³: 2.42; 18.20; 4.03; 5.74; 9.17; 10.39; 9.03; 12.12; 3.25; 9.06; 7.29; 3.87; 4.08; 3.71; 8.25; 5.76
E_form list, top to bottom, in eV per atom: -0.359; -0.475; -1.190; -0.882; -0.887; -0.623; -0.566; -0.514; -2.406; -0.718; -3.289; -0.369; -1.389; -1.717; -3.670; -0.668
Calculated total energy list, top to bottom, in eV per atom: -5.298; -41.951; -15.949; -25.066; -22.170; -23.988; -24.479; -37.684; -10.007; -26.125; -21.406; -9.487; -16.888; -14.717; -22.718; -25.353